# 1
Entry from Materials Project: a relaxed structure of Li3VCr2O6 (PBE with a Hubbard U).

a = 2.972 Å, b = 13.021 Å, c = 5.954 Å
α = 76.01°, β = 89.97°, γ = 90.01°
Atoms (fractional coordinates):
Li 0.000 0.667 0.167
Li 0.500 0.167 0.167
Li 0.000 0.997 0.501
Li 0.500 0.498 0.501
Li 0.000 0.336 0.832
Li 0.500 0.835 0.833
V 0.500 0.167 0.667
V 0.000 0.667 0.667
Cr 0.500 0.500 0.001
Cr 0.500 0.834 0.332
Cr 0.000 0.999 0.000
Cr 0.000 0.334 0.333
O 0.001 0.503 0.766
O 0.501 0.003 0.766
O 0.999 0.831 0.567
O 0.499 0.331 0.568
O 0.001 0.838 0.097
O 0.501 0.339 0.098
O 0.000 0.495 0.236
O 0.499 0.995 0.235
O 0.001 0.172 0.428
O 0.498 0.672 0.428
O 0.999 0.161 0.906
O 0.502 0.662 0.906

Results
The spin magnetization comes out at 0.00 μB per atom. Its formation energy is -2435 meV per atom.

# 2
Entry from Materials Project: a relaxed structure of CaNd3Mn4O12 (PBE with a Hubbard U).

a = 7.749 Å, b = 5.437 Å, c = 5.692 Å
α = 89.33°, β = 90.00°, γ = 90.00°
Atoms (fractional coordinates):
Ca 0.500 0.488 0.558
Nd 0.500 0.013 0.060
Nd 0.000 0.515 0.440
Nd 0.000 0.987 0.940
Mn 0.254 0.002 0.501
Mn 0.747 0.499 0.998
Mn 0.746 0.002 0.501
Mn 0.253 0.499 0.998
O 0.500 0.586 0.972
O 0.500 0.913 0.477
O 0.000 0.417 0.021
O 0.000 0.084 0.517
O 0.799 0.710 0.705
O 0.206 0.787 0.197
O 0.295 0.294 0.298
O 0.711 0.207 0.808
O 0.705 0.294 0.298
O 0.289 0.207 0.808
O 0.201 0.710 0.705
O 0.794 0.787 0.197

Results
The spin magnetization comes out at 0.75 μB per atom. Its formation energy is -2858 meV per atom. Its space group is No. 6.

# 3
Entry from Materials Project: a relaxed structure of Li9Mn2Co5O16 (PBE with a Hubbard U).

a = 5.177 Å, b = 6.435 Å, c = 8.562 Å
α = 96.79°, β = 94.24°, γ = 95.76°
Atoms (fractional coordinates):
Li 0.750 0.558 0.943
Li 0.250 0.934 0.566
Li 0.747 0.314 0.185
Li 0.254 0.433 0.056
Li 0.746 0.825 0.691
Li 0.251 0.185 0.310
Li 0.257 0.694 0.814
Li 0.744 0.059 0.435
Li 0.500 0.125 0.875
Mn 0.000 0.001 0.999
Mn 0.500 0.374 0.627
Co 0.000 0.750 0.250
Co 0.999 0.500 0.500
Co 0.500 0.876 0.123
Co 0.001 0.249 0.751
Co 0.500 0.626 0.374
O 0.106 0.728 0.040
O 0.648 0.120 0.658
O 0.106 0.482 0.293
O 0.607 0.605 0.164
O 0.106 0.978 0.789
O 0.606 0.358 0.411
O 0.646 0.857 0.926
O 0.145 0.241 0.544
O 0.353 0.398 0.825
O 0.894 0.768 0.460
O 0.354 0.128 0.088
O 0.893 0.268 0.963
O 0.396 0.648 0.587
O 0.893 0.019 0.215
O 0.858 0.510 0.703
O 0.391 0.890 0.336

Results
The spin magnetization comes out at 0.35 μB per atom. Its formation energy is -1830 meV per atom. Its space group is No. 1. The distance to the lowest polymorph of the same formula is 34 meV per atom.